Ti2TcPd | Materials Project | PBE | relaxed; crystal system = cubic
1.0
0.000 3.132 3.132
3.132 0.000 3.132
3.132 3.132 0.000
Ti Tc Pd
2 1 1
direct
0.250 0.250 0.250
0.750 0.750 0.750
0.000 0.000 0.000
0.500 0.500 0.500

La4Br3ClO4 | Materials Project | PBE | relaxed; crystal system = orthorhombic
1.0
4.158 0.000 0.000
0.000 4.160 7.447
0.000 -4.160 7.447
La Br Cl O
4 3 1 4
direct
0.000 0.000 0.000
0.000 0.500 0.500
0.500 0.409 0.913
0.500 0.913 0.409
0.000 0.762 0.762
0.500 0.149 0.644
0.500 0.644 0.149
0.000 0.257 0.257
0.000 0.329 0.831
0.000 0.831 0.329
0.500 0.080 0.080
0.500 0.580 0.580

Ta2Tl3Cu3S8 | Materials Project | PBE | relaxed; crystal system = monoclinic
1.0
9.916 -2.792 0.000
9.916 2.792 0.000
-0.833 0.000 7.395
Ta Tl Cu S
2 3 3 8
direct
0.130 0.130 0.190
0.870 0.870 0.810
0.041 0.593 0.288
0.407 0.959 0.712
0.741 0.259 0.500
0.374 0.375 0.820
0.625 0.626 0.180
0.998 0.002 0.000
0.035 0.533 0.872
0.194 0.728 0.747
0.272 0.806 0.253
0.467 0.965 0.128
0.582 0.091 0.574
0.674 0.139 0.060
0.861 0.326 0.940
0.909 0.418 0.426

Nd2SbO2 | Materials Project | PBE | relaxed; offset from the most stable computed form = 0.011 eV per atom; crystal system = orthorhombic
1.0
4.072 0.000 0.000
0.000 13.839 0.000
0.000 0.000 7.869
Nd Sb O
8 4 8
direct
0.250 0.084 0.126
0.250 0.088 0.624
0.250 0.412 0.624
0.250 0.416 0.126
0.750 0.584 0.874
0.750 0.588 0.376
0.750 0.912 0.376
0.750 0.916 0.874
0.250 0.750 0.093
0.250 0.750 0.656
0.750 0.250 0.344
0.750 0.250 0.907
0.250 0.001 0.872
0.250 0.499 0.872
0.250 0.505 0.378
0.250 0.995 0.378
0.750 0.005 0.622
0.750 0.495 0.622
0.750 0.501 0.128
0.750 0.999 0.128

SmH18I3O9 | Materials Project | PBE | relaxed; crystal system = orthorhombic
1.0
8.076 0.000 0.000
0.000 11.600 0.000
0.000 0.000 8.977
Sm H I O
2 36 6 18
direct
0.250 0.250 0.164
0.750 0.750 0.836
0.030 0.682 0.616
0.030 0.818 0.616
0.035 0.650 0.019
0.035 0.850 0.019
0.040 0.580 0.869
0.040 0.920 0.869
0.250 0.049 0.405
0.250 0.182 0.819
0.250 0.318 0.819
0.250 0.451 0.405
0.250 0.516 0.252
0.250 0.984 0.252
0.460 0.580 0.869
0.460 0.920 0.869
0.465 0.650 0.019
0.465 0.850 0.019
0.470 0.682 0.616
0.470 0.818 0.616
0.530 0.182 0.384
0.530 0.318 0.384
0.535 0.150 0.981
0.535 0.350 0.981
0.540 0.080 0.131
0.540 0.420 0.131
0.750 0.016 0.748
0.750 0.484 0.748
0.750 0.549 0.595
0.750 0.682 0.181
0.750 0.818 0.181
0.750 0.951 0.595
0.960 0.080 0.131
0.960 0.420 0.131
0.965 0.150 0.981
0.965 0.350 0.981
0.970 0.182 0.384
0.970 0.318 0.384
0.250 0.513 0.671
0.250 0.750 0.193
0.250 0.987 0.671
0.750 0.013 0.329
0.750 0.250 0.807
0.750 0.487 0.329
0.036 0.121 0.062
0.036 0.379 0.062
0.043 0.250 0.371
0.250 0.061 0.296
0.250 0.250 0.884
0.250 0.439 0.296
0.457 0.250 0.371
0.464 0.121 0.062
0.464 0.379 0.062
0.536 0.621 0.938
0.536 0.879 0.938
0.543 0.750 0.629
0.750 0.561 0.704
0.750 0.750 0.116
0.750 0.939 0.704
0.957 0.750 0.629
0.964 0.621 0.938
0.964 0.879 0.938

Ce2PPt8 | Materials Project | PBE | relaxed; crystal system = orthorhombic
1.0
4.296 0.000 0.000
0.000 8.756 2.722
0.000 -8.756 2.722
Ce P Pt
2 1 8
direct
0.000 0.123 0.877
0.000 0.877 0.123
0.500 0.268 0.268
0.000 0.300 0.702
0.000 0.493 0.493
0.000 0.702 0.300
0.500 0.003 0.508
0.500 0.384 0.604
0.500 0.508 0.003
0.500 0.604 0.384
0.500 0.858 0.858

Ba2LaCu3O8 | Materials Project | PBE | relaxed; crystal system = tetragonal
1.0
3.984 0.000 0.000
0.000 3.984 0.000
0.000 0.000 11.739
Ba La Cu O
2 1 3 8
direct
0.000 0.000 0.167
0.000 0.000 0.833
0.000 0.000 0.500
0.500 0.500 0.000
0.500 0.500 0.338
0.500 0.500 0.662
0.000 0.500 0.000
0.000 0.500 0.367
0.000 0.500 0.633
0.500 0.000 0.000
0.500 0.000 0.367
0.500 0.000 0.633
0.500 0.500 0.169
0.500 0.500 0.831

USiO4 | Materials Project | PBE | relaxed; crystal system = tetragonal
1.0
-3.507 3.507 3.153
3.507 -3.507 3.153
3.507 3.507 -3.153
U Si O
2 2 8
direct
0.375 0.625 0.750
0.625 0.375 0.250
0.125 0.875 0.250
0.875 0.125 0.750
0.138 0.707 0.430
0.223 0.293 0.930
0.293 0.223 0.430
0.293 0.862 0.070
0.707 0.138 0.930
0.707 0.777 0.570
0.777 0.707 0.070
0.862 0.293 0.570

Sm3Ag4Sn4 | Materials Project | PBE | relaxed; crystal system = orthorhombic
1.0
-2.328 3.708 7.754
2.328 -3.708 7.754
2.328 3.708 -7.754
Sm Ag Sn
3 4 4
direct
0.000 0.000 0.000
0.371 0.871 0.500
0.629 0.129 0.500
0.025 0.330 0.694
0.364 0.670 0.694
0.636 0.330 0.306
0.975 0.670 0.306
0.216 0.216 0.000
0.306 0.500 0.806
0.694 0.500 0.194
0.784 0.784 0.000

SO3 | Materials Project | PBE | relaxed; largest piezoelectric modulus = 0.03 C/m²; crystal system = orthorhombic
1.0
11.362 0.000 0.000
0.000 12.921 0.000
0.000 0.000 5.508
S O
12 36
direct
0.134 0.081 0.000
0.143 0.647 0.298
0.196 0.428 0.340
0.304 0.928 0.840
0.357 0.147 0.798
0.366 0.581 0.500
0.634 0.419 0.000
0.643 0.853 0.298
0.696 0.072 0.340
0.804 0.572 0.840
0.857 0.353 0.798
0.866 0.919 0.500
0.016 0.100 0.930
0.088 0.649 0.528
0.115 0.711 0.098
0.141 0.527 0.187
0.143 0.421 0.572
0.167 0.970 0.867
0.176 0.083 0.242
0.203 0.347 0.168
0.212 0.159 0.827
0.288 0.659 0.327
0.297 0.847 0.668
0.324 0.583 0.742
0.333 0.470 0.367
0.357 0.921 0.072
0.359 0.027 0.687
0.385 0.211 0.598
0.412 0.149 0.028
0.484 0.600 0.430
0.516 0.400 0.930
0.588 0.851 0.528
0.615 0.789 0.098
0.641 0.973 0.187
0.643 0.079 0.572
0.667 0.530 0.867
0.676 0.417 0.242
0.703 0.153 0.168
0.712 0.341 0.827
0.788 0.841 0.327
0.797 0.653 0.668
0.824 0.917 0.742
0.833 0.030 0.367
0.857 0.579 0.072
0.859 0.473 0.687
0.885 0.289 0.598
0.912 0.351 0.028
0.984 0.900 0.430

Sr2TbTaO6 | Materials Project | PBE | relaxed; crystal system = monoclinic
1.0
5.849 0.000 0.000
0.000 5.961 0.000
-5.815 0.000 8.333
Sr Tb Ta O
4 2 2 12
direct
0.242 0.040 0.252
0.242 0.460 0.752
0.758 0.540 0.248
0.758 0.960 0.748
0.500 0.000 0.000
0.500 0.500 0.500
0.000 0.000 0.500
0.000 0.500 0.000
0.144 0.226 0.952
0.144 0.274 0.452
0.234 0.695 0.959
0.234 0.805 0.459
0.317 0.028 0.734
0.317 0.472 0.234
0.683 0.528 0.766
0.683 0.972 0.266
0.766 0.195 0.541
0.766 0.305 0.041
0.856 0.726 0.548
0.856 0.774 0.048

Na2Eu2Ti2O9 | Materials Project | PBE | relaxed; crystal system = orthorhombic
1.0
-1.849 15.007 1.829
1.849 -15.007 1.829
1.849 15.007 -1.829
Na Eu Ti O
2 2 2 9
direct
0.052 0.000 0.052
0.948 0.000 0.948
0.248 0.045 0.203
0.843 0.045 0.797
0.416 0.044 0.373
0.671 0.044 0.627
0.193 0.544 0.648
0.324 0.046 0.279
0.399 0.546 0.853
0.479 0.048 0.431
0.497 0.497 0.000
0.617 0.048 0.569
0.692 0.546 0.147
0.767 0.046 0.721
0.896 0.544 0.352

no.,ΔH_f (0 K) (eV/atom),total energy (eV/atom)
1,-0.54,-8.3778
2,-3.27,-6.8995
3,-0.91,-5.4232
4,-2.86,-7.3000
5,-1.32,-4.8219
6,-0.87,-6.8560
7,-2.04,-5.9838
8,-3.45,-9.0812
9,-0.54,-4.3106
10,-1.58,-5.8073
11,-3.59,-8.1361
12,-2.75,-7.9064